Computed, not measured: crystalline Co6BP at its relaxed geometry at the PBE-GGA level of DFT.

Values from the calculation:
VASP energy in eV/atom: -7.089
DFT formation energy in eV per atom: -0.25
Total moment in μB per cell: 12.20

Unit cell a=4.2512 b=6.5982 c=6.3814 alpha=92.76 beta=109.46 gamma=71.21
With the nearest neighbours (Å) after each atom.
Positions (direct):
Co1 0.9851 0.3488 0.3821  2 B 2.13-2.14, 2 P 2.20-2.29
Co2 0.9518 0.6512 0.6179  2 B 2.13-2.14, 2 P 2.20-2.29
Co3 0.5331 0.0492 0.6096  1 B 2.18, 2 P 2.21-2.27, 2 Co 2.41-2.43
Co4 0.3667 0.9566 0.1899  1 B 2.09, 1 P 2.27, 1 Co 2.31
P1 0.5164 0.2498 0.3249  9 Co 2.20-2.32
B1 0.8024 0.6763 0.2634  8 Co 2.07-2.23
Co5 0.6796 0.1896 0.0094  1 B 2.11, 1 P 2.32
Co6 0.3549 0.6132 0.3259  2 B 2.15-2.23, 2 P 2.27-2.32, 1 Co 2.39
Co7 0.0785 0.4072 0.0189  1 B 2.07, 1 P 2.21
Co8 0.1334 0.0434 0.8101  1 B 2.09, 1 P 2.27, 1 Co 2.31
Co9 0.9727 0.9508 0.3904  1 B 2.18, 2 P 2.21-2.27, 2 Co 2.41-2.43
Co10 0.4668 0.5928 0.9811  1 B 2.07, 1 P 2.21
Co11 0.8599 0.8104 0.9906  1 B 2.11, 1 P 2.32
B2 0.2152 0.3237 0.7366  8 Co 2.07-2.23
P2 0.4413 0.7502 0.6751  9 Co 2.20-2.32
Co12 0.6422 0.3868 0.6741  2 B 2.15-2.23, 2 P 2.27-2.32, 1 Co 2.39